(1)
Here is a geometry-optimized Li2CrSi6O15 structure from the Materials Project. Energies are from PBE with a Hubbard U.

```
Li2CrSi6O15
1.0
-3.895 7.404 4.969
3.895 -7.404 4.969
3.895 7.404 -4.969
Li Cr Si O
4 2 12 30
direct
0.256 0.000 0.756 Li
0.256 0.500 0.256 Li
0.744 0.000 0.244 Li
0.744 0.500 0.744 Li
0.000 0.000 0.000 Cr
0.500 0.000 0.500 Cr
0.110 0.270 0.455 Si
0.110 0.655 0.840 Si
0.315 0.270 0.660 Si
0.315 0.655 0.045 Si
0.379 0.727 0.652 Si
0.425 0.273 0.152 Si
0.575 0.727 0.848 Si
0.621 0.273 0.348 Si
0.685 0.345 0.955 Si
0.685 0.730 0.340 Si
0.890 0.345 0.160 Si
0.890 0.730 0.545 Si
0.015 0.265 0.107 O
0.015 0.908 0.751 O
0.026 0.397 0.629 O
0.174 0.165 0.491 O
0.174 0.683 0.009 O
0.238 0.171 0.068 O
0.267 0.397 0.871 O
0.268 0.457 0.475 O
0.268 0.793 0.811 O
0.343 0.092 0.607 O
0.343 0.735 0.251 O
0.397 0.829 0.568 O
0.451 0.201 0.250 O
0.482 0.457 0.689 O
0.482 0.793 0.025 O
0.518 0.207 0.975 O
0.518 0.543 0.311 O
0.549 0.799 0.750 O
0.603 0.171 0.432 O
0.657 0.265 0.749 O
0.657 0.908 0.393 O
0.732 0.207 0.189 O
0.732 0.543 0.525 O
0.733 0.603 0.129 O
0.762 0.829 0.932 O
0.826 0.317 0.991 O
0.826 0.835 0.509 O
0.974 0.603 0.371 O
0.985 0.092 0.249 O
0.985 0.735 0.893 O
```

SG: Imma
Energy above the lowest structure with this stoichiometry, meV per atom: 45.7
Calculated density, g cm⁻³: 2.75
Energy of formation from the pure elements, kJ/mol of atoms: -284.2
DFT total energy, eV per atom: -7.443

---

(2)
Here is a geometry-optimized Li2Cr3Si4O12 structure from the Materials Project. Energies are from PBE with a Hubbard U.

```
Li2Cr3Si4O12
1.0
7.609 0.000 0.000
0.000 10.241 0.000
0.000 0.000 13.892
Li Cr Si O
8 12 16 48
direct
0.039 0.250 0.143 Li
0.230 0.250 0.494 Li
0.270 0.750 0.994 Li
0.461 0.750 0.643 Li
0.539 0.250 0.357 Li
0.730 0.250 0.006 Li
0.770 0.750 0.506 Li
0.961 0.750 0.857 Li
0.000 0.000 0.000 Cr
0.000 0.500 0.000 Cr
0.231 0.250 0.712 Cr
0.232 0.750 0.433 Cr
0.268 0.250 0.933 Cr
0.269 0.750 0.212 Cr
0.500 0.000 0.500 Cr
0.500 0.500 0.500 Cr
0.731 0.250 0.788 Cr
0.732 0.750 0.067 Cr
0.768 0.250 0.567 Cr
0.769 0.750 0.288 Cr
0.178 0.538 0.620 Si
0.178 0.962 0.620 Si
0.221 0.040 0.331 Si
0.221 0.460 0.331 Si
0.279 0.540 0.831 Si
0.279 0.960 0.831 Si
0.322 0.038 0.120 Si
0.322 0.462 0.120 Si
0.678 0.538 0.880 Si
0.678 0.962 0.880 Si
0.721 0.040 0.169 Si
0.721 0.460 0.169 Si
0.779 0.540 0.669 Si
0.779 0.960 0.669 Si
0.822 0.038 0.380 Si
0.822 0.462 0.380 Si
0.029 0.084 0.378 O
0.029 0.416 0.378 O
0.130 0.608 0.898 O
0.130 0.892 0.898 O
0.206 0.118 0.607 O
0.206 0.382 0.607 O
0.219 0.112 0.032 O
0.219 0.388 0.032 O
0.228 0.096 0.220 O
0.228 0.404 0.220 O
0.236 0.619 0.323 O
0.236 0.881 0.323 O
0.264 0.119 0.823 O
0.264 0.381 0.823 O
0.272 0.596 0.720 O
0.272 0.904 0.720 O
0.281 0.612 0.532 O
0.281 0.888 0.532 O
0.294 0.618 0.107 O
0.294 0.882 0.107 O
0.370 0.108 0.398 O
0.370 0.392 0.398 O
0.471 0.584 0.878 O
0.471 0.916 0.878 O
0.529 0.084 0.122 O
0.529 0.416 0.122 O
0.630 0.608 0.602 O
0.630 0.892 0.602 O
0.706 0.118 0.893 O
0.706 0.382 0.893 O
0.719 0.112 0.468 O
0.719 0.388 0.468 O
0.728 0.096 0.280 O
0.728 0.404 0.280 O
0.736 0.619 0.177 O
0.736 0.881 0.177 O
0.764 0.119 0.677 O
0.764 0.381 0.677 O
0.772 0.596 0.780 O
0.772 0.904 0.780 O
0.781 0.612 0.968 O
0.781 0.888 0.968 O
0.794 0.618 0.393 O
0.794 0.882 0.393 O
0.870 0.108 0.102 O
0.870 0.392 0.102 O
0.971 0.584 0.622 O
0.971 0.916 0.622 O
```

SG: Pnma
Calculated density, g cm⁻³: 2.91
Energy of formation from the pure elements, kJ/mol of atoms: -268.5
DFT total energy, eV per atom: -7.526

---

(3)
Here is a geometry-optimized Li2CrSi2O6 structure from the Materials Project. Energies are from PBE with a Hubbard U.

```
Li2CrSi2O6
1.0
10.286 0.000 0.000
0.000 7.028 0.000
0.000 0.000 10.128
Li Cr Si O
12 6 12 36
direct
0.000 0.005 0.000 Li
0.000 0.767 0.233 Li
0.207 0.201 0.954 Li
0.232 0.730 0.004 Li
0.268 0.270 0.504 Li
0.293 0.799 0.454 Li
0.500 0.233 0.733 Li
0.500 0.995 0.500 Li
0.707 0.799 0.454 Li
0.732 0.270 0.504 Li
0.768 0.730 0.004 Li
0.793 0.201 0.954 Li
0.000 0.252 0.741 Cr
0.000 0.515 0.497 Cr
0.000 0.761 0.750 Cr
0.500 0.239 0.250 Cr
0.500 0.485 0.997 Cr
0.500 0.748 0.241 Cr
0.000 0.511 0.042 Si
0.000 0.990 0.446 Si
0.225 0.026 0.234 Si
0.229 0.483 0.258 Si
0.271 0.517 0.758 Si
0.275 0.974 0.734 Si
0.500 0.010 0.946 Si
0.500 0.489 0.542 Si
0.725 0.974 0.734 Si
0.729 0.517 0.758 Si
0.771 0.483 0.258 Si
0.775 0.026 0.234 Si
0.000 0.207 0.497 O
0.000 0.299 0.986 O
0.000 0.694 0.944 O
0.000 0.812 0.551 O
0.122 0.933 0.344 O
0.124 0.565 0.146 O
0.127 0.470 0.700 O
0.132 0.041 0.786 O
0.181 0.977 0.085 O
0.195 0.555 0.405 O
0.217 0.252 0.267 O
0.283 0.748 0.767 O
0.305 0.445 0.905 O
0.319 0.023 0.585 O
0.368 0.959 0.286 O
0.373 0.530 0.200 O
0.376 0.435 0.646 O
0.378 0.067 0.844 O
0.500 0.188 0.051 O
0.500 0.306 0.444 O
0.500 0.701 0.486 O
0.500 0.793 0.997 O
0.622 0.067 0.844 O
0.624 0.435 0.646 O
0.627 0.530 0.200 O
0.632 0.959 0.286 O
0.681 0.023 0.585 O
0.695 0.445 0.905 O
0.717 0.748 0.767 O
0.783 0.252 0.267 O
0.805 0.555 0.405 O
0.819 0.977 0.085 O
0.868 0.041 0.786 O
0.873 0.470 0.700 O
0.876 0.565 0.146 O
0.878 0.933 0.344 O
```

SG: Pmn2_1
Energy above the lowest structure with this stoichiometry, meV per atom: 29.8
Calculated density, g cm⁻³: 2.97
Energy of formation from the pure elements, kJ/mol of atoms: -264.0
DFT total energy, eV per atom: -7.090

---

(4)
Here is a geometry-optimized Li2Cr5Si4O14 structure from the Materials Project. Energies are from PBE with a Hubbard U.

```
Li2Cr5Si4O14
1.0
5.615 0.000 0.000
-0.169 8.036 0.000
-1.293 -1.775 13.284
Li Cr Si O
4 10 8 28
direct
0.173 0.401 0.445 Li
0.326 0.099 0.055 Li
0.674 0.901 0.945 Li
0.827 0.599 0.555 Li
0.000 0.000 0.500 Cr
0.118 0.382 0.693 Cr
0.120 0.075 0.286 Cr
0.380 0.425 0.214 Cr
0.382 0.119 0.808 Cr
0.500 0.500 0.000 Cr
0.618 0.881 0.192 Cr
0.620 0.575 0.786 Cr
0.880 0.925 0.714 Cr
0.882 0.618 0.307 Cr
0.122 0.757 0.113 Si
0.189 0.791 0.896 Si
0.311 0.709 0.603 Si
0.378 0.743 0.387 Si
0.622 0.257 0.613 Si
0.689 0.291 0.397 Si
0.811 0.209 0.104 Si
0.878 0.243 0.887 Si
0.001 0.258 0.202 O
0.030 0.765 0.993 O
0.068 0.824 0.595 O
0.103 0.277 0.824 O
0.186 0.894 0.384 O
0.200 0.516 0.584 O
0.241 0.562 0.338 O
0.259 0.938 0.162 O
0.300 0.984 0.916 O
0.314 0.605 0.116 O
0.397 0.223 0.676 O
0.432 0.676 0.905 O
0.470 0.735 0.507 O
0.499 0.242 0.298 O
0.501 0.758 0.702 O
0.530 0.265 0.493 O
0.568 0.324 0.095 O
0.603 0.777 0.324 O
0.686 0.395 0.884 O
0.700 0.016 0.084 O
0.741 0.062 0.838 O
0.759 0.438 0.662 O
0.800 0.484 0.416 O
0.814 0.106 0.616 O
0.897 0.723 0.176 O
0.932 0.176 0.405 O
0.970 0.235 0.007 O
0.999 0.742 0.798 O
```

SG: P-1
Energy above the lowest structure with this stoichiometry, meV per atom: 0.0
Calculated density, g cm⁻³: 3.38
Energy of formation from the pure elements, kJ/mol of atoms: -256.7
DFT total energy, eV per atom: -7.598

---

(5)
Here is a geometry-optimized Li4Cr2Si3O10 structure from the Materials Project. Energies are from PBE with a Hubbard U.

```
Li4Cr2Si3O10
1.0
4.648 -2.790 0.000
4.648 2.790 0.000
-2.740 0.000 16.484
Li Cr Si O
8 4 6 20
direct
0.084 0.298 0.230 Li
0.170 0.335 0.552 Li
0.298 0.084 0.730 Li
0.335 0.170 0.052 Li
0.665 0.830 0.948 Li
0.702 0.916 0.270 Li
0.830 0.665 0.448 Li
0.916 0.702 0.770 Li
0.299 0.522 0.917 Cr
0.478 0.701 0.583 Cr
0.522 0.299 0.417 Cr
0.701 0.478 0.083 Cr
0.034 0.844 0.099 Si
0.156 0.966 0.401 Si
0.389 0.611 0.250 Si
0.611 0.389 0.750 Si
0.844 0.034 0.599 Si
0.966 0.156 0.901 Si
0.080 0.127 0.116 O
0.098 0.281 0.435 O
0.100 0.699 0.187 O
0.127 0.080 0.616 O
0.272 0.596 0.042 O
0.281 0.098 0.935 O
0.301 0.900 0.313 O
0.340 0.427 0.792 O
0.404 0.728 0.458 O
0.427 0.340 0.292 O
0.573 0.660 0.708 O
0.596 0.272 0.542 O
0.660 0.573 0.208 O
0.699 0.100 0.687 O
0.719 0.902 0.065 O
0.728 0.404 0.958 O
0.873 0.920 0.384 O
0.900 0.301 0.813 O
0.902 0.719 0.565 O
0.920 0.873 0.884 O
```

SG: C2/c
Calculated density, g cm⁻³: 2.92
Energy of formation from the pure elements, kJ/mol of atoms: -263.2
DFT total energy, eV per atom: -7.035

---

(6)
Here is a geometry-optimized Li2Cr2Si4O11 structure from the Materials Project. Energies are from PBE with a Hubbard U.

```
Li2Cr2Si4O11
1.0
7.134 0.000 0.000
-2.488 7.421 0.000
-1.840 -2.000 8.391
Li Cr Si O
4 4 8 22
direct
0.121 0.281 0.201 Li
0.349 0.755 0.847 Li
0.651 0.245 0.153 Li
0.879 0.719 0.799 Li
0.135 0.886 0.600 Cr
0.380 0.119 0.386 Cr
0.620 0.881 0.614 Cr
0.865 0.114 0.400 Cr
0.021 0.717 0.219 Si
0.257 0.114 0.964 Si
0.275 0.474 0.603 Si
0.456 0.720 0.232 Si
0.544 0.280 0.768 Si
0.725 0.526 0.397 Si
0.743 0.886 0.036 Si
0.979 0.283 0.781 Si
0.102 0.236 0.940 O
0.106 0.899 0.365 O
0.135 0.461 0.736 O
0.157 0.314 0.440 O
0.172 0.910 0.843 O
0.203 0.649 0.177 O
0.313 0.122 0.151 O
0.335 0.688 0.593 O
0.427 0.093 0.627 O
0.478 0.243 0.932 O
0.488 0.450 0.705 O
0.512 0.550 0.295 O
0.522 0.757 0.068 O
0.573 0.907 0.373 O
0.665 0.312 0.407 O
0.687 0.878 0.849 O
0.797 0.351 0.823 O
0.828 0.090 0.157 O
0.843 0.686 0.560 O
0.865 0.539 0.264 O
0.894 0.101 0.635 O
0.898 0.764 0.060 O
```

SG: P-1
Calculated density, g cm⁻³: 3.04
Energy of formation from the pure elements, kJ/mol of atoms: -275.8
DFT total energy, eV per atom: -7.474

---

(7)
Here is a geometry-optimized Li2Cr2Si5O13 structure from the Materials Project. Energies are from PBE with a Hubbard U.

```
Li2Cr2Si5O13
1.0
7.660 0.000 0.000
2.854 7.422 0.000
3.586 -0.091 9.183
Li Cr Si O
4 4 10 26
direct
0.152 0.400 0.241 Li
0.219 0.066 0.352 Li
0.781 0.934 0.648 Li
0.848 0.600 0.759 Li
0.038 0.149 0.101 Cr
0.433 0.836 0.904 Cr
0.567 0.164 0.096 Cr
0.962 0.851 0.899 Cr
0.168 0.226 0.763 Si
0.203 0.697 0.548 Si
0.241 0.754 0.237 Si
0.316 0.455 0.905 Si
0.383 0.294 0.454 Si
0.617 0.706 0.546 Si
0.684 0.545 0.095 Si
0.759 0.246 0.763 Si
0.797 0.303 0.452 Si
0.832 0.774 0.237 Si
0.007 0.772 0.689 O
0.060 0.683 0.247 O
0.184 0.059 0.876 O
0.186 0.830 0.404 O
0.207 0.393 0.811 O
0.213 0.671 0.929 O
0.221 0.499 0.499 O
0.267 0.920 0.127 O
0.316 0.327 0.047 O
0.320 0.165 0.595 O
0.373 0.219 0.313 O
0.399 0.697 0.574 O
0.446 0.583 0.199 O
0.554 0.417 0.801 O
0.601 0.303 0.426 O
0.627 0.781 0.687 O
0.680 0.835 0.405 O
0.684 0.673 0.953 O
0.733 0.080 0.873 O
0.779 0.501 0.501 O
0.787 0.329 0.071 O
0.793 0.607 0.189 O
0.814 0.170 0.596 O
0.816 0.941 0.124 O
0.940 0.317 0.753 O
0.993 0.228 0.311 O
```

SG: P-1
Calculated density, g cm⁻³: 2.97
Energy of formation from the pure elements, kJ/mol of atoms: -280.8
DFT total energy, eV per atom: -7.530

---

(8)
Here is a geometry-optimized Li2CrSi2O6 structure from the Materials Project. Energies are from PBE with a Hubbard U.

```
Li2CrSi2O6
1.0
0.000 10.182 3.658
3.568 0.000 3.658
3.568 10.182 0.000
Li Cr Si O
4 2 4 12
direct
0.076 0.424 0.091 Li
0.159 0.841 0.174 Li
0.424 0.076 0.409 Li
0.841 0.159 0.826 Li
0.225 0.225 0.275 Cr
0.975 0.975 0.025 Cr
0.239 0.661 0.431 Si
0.581 0.819 0.589 Si
0.661 0.239 0.669 Si
0.819 0.581 0.011 Si
0.033 0.492 0.715 O
0.166 0.628 0.355 O
0.228 0.975 0.453 O
0.399 0.895 0.622 O
0.490 0.535 0.758 O
0.492 0.033 0.760 O
0.535 0.490 0.217 O
0.628 0.166 0.851 O
0.797 0.906 0.022 O
0.895 0.399 0.084 O
0.906 0.797 0.275 O
0.975 0.228 0.344 O
```

SG: Fdd2
Energy above the lowest structure with this stoichiometry, meV per atom: 183.1
Calculated density, g cm⁻³: 2.72
Energy of formation from the pure elements, kJ/mol of atoms: -249.2
DFT total energy, eV per atom: -6.937